# 1
VASP calculation (r²SCAN) on crystalline InPbCl3 at its relaxed geometry.

Cell: 7.0793 7.0793 10.6529 Å, 90.00 90.00 144.80°
Closest atoms and distances in Å follow each position.
Element x y z (fractional)
In 0.2487 0.7513 0.7500  6 Cl 3.10-3.35
In 0.7513 0.2487 0.2500  6 Cl 3.10-3.35
Pb 0.5000 0.5000 0.0000  6 Cl 2.89-2.91
Pb 0.5000 0.5000 0.5000  6 Cl 2.89-2.91
Cl 0.1396 0.8604 0.0538  2 Pb 2.91
Cl 0.1396 0.8604 0.4462  2 Pb 2.91
Cl 0.4173 0.5827 0.2500  2 Pb 2.89, 2 In 3.10
Cl 0.5827 0.4173 0.7500  2 Pb 2.89, 2 In 3.10
Cl 0.8604 0.1396 0.5538  2 Pb 2.91
Cl 0.8604 0.1396 0.9462  2 Pb 2.91

Calculated values
**Space group**: Cmcm, No. 63
**E**: -205.9 eV for the cell shown
**ΔE_f**: -1.123 eV per atom
**Total magnetization**: 0.00 μB/f.u.
**Calculated density**: 4.6 g/cm3



# 2
VASP calculation (r²SCAN) on crystalline SbF5 at its relaxed geometry.

Cell: 5.0790 9.9266 7.7549 Å, 90.00 112.83 90.00°
Closest atoms and distances in Å follow each position.
Element x y z (fractional)
Sb 0.1221 0.2482 0.4023  6 F 1.85-2.03
Sb 0.1221 0.2518 0.9023  6 F 1.85-2.03
Sb 0.8779 0.7482 0.0977  6 F 1.85-2.03
Sb 0.8779 0.7518 0.5977  6 F 1.85-2.03
F 0.0833 0.5939 0.2062  1 Sb 1.86
F 0.0833 0.9061 0.7062  1 Sb 1.86
F 0.1200 0.1915 0.6528  2 Sb 2.02-2.03
F 0.1200 0.3085 0.1528  2 Sb 2.02-2.03
F 0.2172 0.6574 0.6516  1 Sb 1.86
F 0.2172 0.8426 0.1516  1 Sb 1.86
F 0.3294 0.1009 0.0192  1 Sb 1.85
F 0.3294 0.3991 0.5192  1 Sb 1.85
F 0.4587 0.1524 0.4519  1 Sb 1.86
F 0.4587 0.3476 0.9519  1 Sb 1.86
F 0.5413 0.6524 0.0481  1 Sb 1.86
F 0.5413 0.8476 0.5481  1 Sb 1.86
F 0.6706 0.6009 0.4808  1 Sb 1.85
F 0.6706 0.8991 0.9808  1 Sb 1.85
F 0.7828 0.1574 0.8484  1 Sb 1.86
F 0.7828 0.3426 0.3484  1 Sb 1.86
F 0.8800 0.6915 0.8472  2 Sb 2.02-2.03
F 0.8800 0.8085 0.3472  2 Sb 2.02-2.03
F 0.9167 0.0939 0.2938  1 Sb 1.86
F 0.9167 0.4061 0.7938  1 Sb 1.86

Calculated values
**Space group**: P2_1/c, No. 14
**E**: -222.3 eV for the cell shown
**ΔE_f**: -2.372 eV per atom
**Total magnetization**: 0.00 μB/f.u.
**Calculated density**: 4.0 g/cm3



# 3
VASP calculation (r²SCAN) on crystalline CaRhF6 at its relaxed geometry.

Cell: 5.7206 5.7206 5.7206 Å, 54.22 54.22 54.22°
Closest atoms and distances in Å follow each position.
Element x y z (fractional)
Ca 0.0000 0.0000 0.0000  6 F 2.27
Rh 0.5000 0.5000 0.5000  6 F 1.92
F 0.1225 0.4282 0.7176  1 Rh 1.92
F 0.2824 0.8775 0.5718  1 Rh 1.92
F 0.4282 0.7176 0.1225  1 Rh 1.92
F 0.5718 0.2824 0.8775  1 Rh 1.92
F 0.7176 0.1225 0.4282  1 Rh 1.92
F 0.8775 0.5718 0.2824  1 Rh 1.92

Calculated values
**Space group**: R-3, No. 148
**E**: -71.0 eV for the cell shown
**ΔE_f**: -2.640 eV per atom
**Total magnetization**: 1.00 μB/f.u.
**Calculated density**: 3.7 g/cm3



# 4
VASP calculation (r²SCAN) on crystalline K7TaAs4 at its relaxed geometry.

Cell: 10.2574 9.1363 8.3394 Å, 90.00 90.00 90.00°
Closest atoms and distances in Å follow each position.
Element x y z (fractional)
K 0.0000 0.0393 0.0000  1 K 3.26, 3 As 3.49-3.56, 1 Ta 3.49
K 0.0000 0.3389 0.7880  4 As 3.17-3.52, 1 K 3.26
K 0.0000 0.8976 0.5170  3 As 3.23-3.34
K 0.2108 0.5328 0.4978  5 As 3.42-3.75, 3 K 3.63-3.70, 1 Ta 3.67
K 0.2166 0.1646 0.3334  4 As 3.22-3.41
K 0.2834 0.8354 0.8334  4 As 3.22-3.41
K 0.2892 0.4672 0.9978  5 As 3.42-3.75, 3 K 3.63-3.70, 1 Ta 3.67
K 0.5000 0.1024 0.0170  3 As 3.23-3.34
K 0.5000 0.6611 0.2880  4 As 3.17-3.52, 1 K 3.26
K 0.5000 0.9607 0.5000  1 K 3.26, 3 As 3.49-3.56, 1 Ta 3.49
K 0.7108 0.4672 0.9978  5 As 3.42-3.75, 3 K 3.63-3.70, 1 Ta 3.67
K 0.7166 0.8354 0.8334  4 As 3.22-3.41
K 0.7834 0.1646 0.3334  4 As 3.22-3.41
K 0.7892 0.5328 0.4978  5 As 3.42-3.75, 3 K 3.63-3.70, 1 Ta 3.67
Ta 0.0000 0.6744 0.1236  4 As 2.48-2.53
Ta 0.5000 0.3256 0.6236  4 As 2.48-2.53
As 0.0000 0.4102 0.2028  1 Ta 2.50
As 0.0000 0.6838 0.8261  1 Ta 2.48
As 0.2022 0.8067 0.2187  1 Ta 2.53
As 0.2978 0.1933 0.7187  1 Ta 2.53
As 0.5000 0.3162 0.3261  1 Ta 2.48
As 0.5000 0.5898 0.7028  1 Ta 2.50
As 0.7022 0.1933 0.7187  1 Ta 2.53
As 0.7978 0.8067 0.2187  1 Ta 2.53

Calculated values
**Space group**: Pmn2_1, No. 31
**E**: -314.2 eV for the cell shown
**ΔE_f**: -0.630 eV per atom
**Total magnetization**: 0.00 μB/f.u.
**Calculated density**: 3.2 g/cm3



# 5
VASP calculation (r²SCAN) on crystalline SmInAg2 at its relaxed geometry.

Cell: 7.0307 7.0307 7.0307 Å, 90.00 90.00 90.00°
Closest atoms and distances in Å follow each position.
Element x y z (fractional)
Sm 0.0000 0.0000 0.0000  8 Ag 3.04
Sm 0.0000 0.5000 0.5000  8 Ag 3.04
Sm 0.5000 0.0000 0.5000  8 Ag 3.04
Sm 0.5000 0.5000 0.0000  8 Ag 3.04
In 0.0000 0.0000 0.5000  8 Ag 3.04
In 0.0000 0.5000 0.0000  8 Ag 3.04
In 0.5000 0.0000 0.0000  8 Ag 3.04
In 0.5000 0.5000 0.5000  8 Ag 3.04
Ag 0.2500 0.2500 0.2500  4 In 3.04, 4 Sm 3.04
Ag 0.2500 0.2500 0.7500  4 Sm 3.04, 4 In 3.04
Ag 0.2500 0.7500 0.2500  4 Sm 3.04, 4 In 3.04
Ag 0.2500 0.7500 0.7500  4 In 3.04, 4 Sm 3.04
Ag 0.7500 0.2500 0.2500  4 Sm 3.04, 4 In 3.04
Ag 0.7500 0.2500 0.7500  4 In 3.04, 4 Sm 3.04
Ag 0.7500 0.7500 0.2500  4 In 3.04, 4 Sm 3.04
Ag 0.7500 0.7500 0.7500  4 Sm 3.04, 4 In 3.04

Calculated values
**Space group**: Fm-3m, No. 225
**E**: -386.9 eV for the cell shown
**ΔE_f**: -0.423 eV per atom
**Total magnetization**: 0.00 μB/f.u.
**Calculated density**: 9.2 g/cm3



# 6
VASP calculation (r²SCAN) on crystalline BaAg2 at its relaxed geometry.

Cell: 4.9872 8.1102 8.4622 Å, 90.00 90.00 90.00°
Closest atoms and distances in Å follow each position.
Element x y z (fractional)
Ba 0.0000 0.2500 0.0397  12 Ag 3.43-3.66
Ba 0.0000 0.7500 0.9603  12 Ag 3.43-3.66
Ba 0.5000 0.2500 0.4603  12 Ag 3.43-3.66
Ba 0.5000 0.7500 0.5397  12 Ag 3.43-3.66
Ag 0.0000 0.0531 0.6641  4 Ag 2.89-3.19
Ag 0.0000 0.4469 0.6641  4 Ag 2.89-3.19
Ag 0.0000 0.5531 0.3359  4 Ag 2.89-3.19
Ag 0.0000 0.9469 0.3359  4 Ag 2.89-3.19
Ag 0.5000 0.0531 0.8359  4 Ag 2.89-3.19
Ag 0.5000 0.4469 0.8359  4 Ag 2.89-3.19
Ag 0.5000 0.5531 0.1641  4 Ag 2.89-3.19
Ag 0.5000 0.9469 0.1641  4 Ag 2.89-3.19

Calculated values
**Space group**: Imma, No. 74
**E**: -279.8 eV for the cell shown
**ΔE_f**: -0.250 eV per atom
**Total magnetization**: 0.00 μB/f.u.
**Calculated density**: 6.9 g/cm3